Entry 1:
Ba2DySbO6: optimized geometry, GGA-PBE.

extended XYZ file:
```
40
Lattice="8.518 0.000 0.000 0.000 8.518 0.000 0.000 0.000 8.518" Properties=species:S:1:pos:R:3 pbc="T T T"
Ba 2.130 2.130 2.130
Ba 2.130 2.130 6.389
Ba 2.130 6.389 2.130
Ba 2.130 6.389 6.389
Ba 6.389 2.130 2.130
Ba 6.389 2.130 6.389
Ba 6.389 6.389 2.130
Ba 6.389 6.389 6.389
Dy 0.000 0.000 0.000
Dy 0.000 4.259 4.259
Dy 4.259 0.000 4.259
Dy 4.259 4.259 0.000
Sb 0.000 0.000 4.259
Sb 0.000 4.259 0.000
Sb 4.259 0.000 0.000
Sb 4.259 4.259 4.259
O 0.085 2.016 4.341
O 0.085 2.243 8.437
O 0.082 4.344 6.502
O 0.082 8.433 6.275
O 2.016 4.341 0.085
O 2.016 8.437 4.174
O 2.243 4.341 4.174
O 2.243 8.437 0.085
O 4.174 2.016 8.437
O 4.174 2.243 4.341
O 4.178 4.344 6.275
O 4.178 8.433 6.502
O 4.341 0.085 2.016
O 4.341 4.174 2.243
O 4.344 6.275 4.178
O 4.344 6.502 0.082
O 6.275 0.082 8.433
O 6.275 4.178 4.344
O 6.502 0.082 4.344
O 6.502 4.178 8.433
O 8.437 0.085 2.243
O 8.437 4.174 2.016
O 8.433 6.275 0.082
O 8.433 6.502 4.178
```

Values from the calculation:
Formation energy = -3.09 eV/atom

Entry 2:
Sr2Br2F: optimized geometry, GGA-PBE.

extended XYZ file:
```
5
Lattice="5.862 0.000 0.000 0.000 5.862 0.000 0.000 0.000 13.813" Properties=species:S:1:pos:R:3 pbc="T T T"
Sr 0.000 0.000 2.310
Sr 0.000 0.000 11.504
Br 0.000 0.000 5.030
Br 0.000 0.000 8.784
F 0.000 0.000 0.000
```

Values from the calculation:
Formation energy = -1.66 eV/atom